## Li5Co5Sn2O12 (PBE with a Hubbard U)

Data for crystalline Li5Co5Sn2O12 at its relaxed geometry.

```
data_Li5Co5Sn2O12
_chemical_formula_sum 'Li10 Co10 Sn4 O24'
_cell_length_a 5.2066
_cell_length_b 9.1678
_cell_length_c 10.0527
_cell_angle_alpha 90.00
_cell_angle_beta 101.76
_cell_angle_gamma 90.00
_space_group_name_H-M_alt 'C 1 2 1'
_space_group_IT_number 5
_space_group_name_Hall 'C 2y'
loop_
_atom_site_label
_atom_site_fract_x
_atom_site_fract_y
_atom_site_fract_z
Li1 0.0000 0.0000 0.0000
Li2 0.2414 0.3429 0.7567
Li3 0.2471 0.4791 0.2492
Co1 0.0000 0.3329 0.0000
Co2 0.0000 0.4966 0.5000
Co3 0.0000 0.8301 0.5000
Co4 0.2485 0.1622 0.2466
Sn1 0.0000 0.1632 0.5000
Sn2 0.0000 0.6635 0.0000
O1 0.1074 0.4939 0.8847
O2 0.1142 0.1833 0.8865
O3 0.1217 0.0049 0.3758
O4 0.1225 0.6632 0.3764
O5 0.1247 0.3255 0.3813
O6 0.1464 0.8224 0.8832
```

Summary:
MP2020-corrected energy ... -6.46 eV per atom
M_tot ... 20.0 μB per cell
ΔH_f (0 K) ... -1.77 eV/atom